Record 1
Material: NdSe2
Method: DFT, meta-GGA r2SCAN
State: relaxed

a b c (Å): 4.157 4.157 8.593
angles (deg): 90.00 90.00 90.00
Fractional positions:
Nd 0.750 0.750 0.726
Nd 0.250 0.250 0.274
Se 0.750 0.250 0.000
Se 0.250 0.750 0.000
Se 0.750 0.750 0.368
Se 0.250 0.250 0.632

Output
- DFT total energy: -21.205 eV per atom
- Density: 6.8 g cm⁻³



Record 2
Material: LiV3O4
Method: DFT, meta-GGA r2SCAN
State: relaxed

a b c (Å): 5.198 5.736 5.909
angles (deg): 119.06 74.88 90.02
Fractional positions:
Li 0.999 0.000 0.500
Li 0.001 0.501 0.500
V 0.000 0.000 0.000
V 0.499 0.250 0.498
V 0.501 0.752 0.502
V 0.500 0.779 0.000
V 0.500 0.217 0.000
V 0.000 0.501 0.000
O 0.724 0.385 0.773
O 0.768 0.867 0.734
O 0.276 0.612 0.227
O 0.232 0.133 0.266
O 0.254 0.127 0.753
O 0.249 0.626 0.750
O 0.751 0.876 0.250
O 0.746 0.374 0.247

Output
- DFT total energy: -10.930 eV per atom
- Density: 5.1 g cm⁻³
- Offset from the most stable computed form: 44 meV/atom



Record 3
Material: GdDyZn2
Method: DFT, meta-GGA r2SCAN
State: relaxed

a b c (Å): 5.040 5.040 5.040
angles (deg): 60.00 60.00 60.00
Fractional positions:
Gd 0.000 0.000 0.000
Dy 0.500 0.500 0.500
Zn 0.250 0.250 0.250
Zn 0.750 0.750 0.750

Output
- DFT total energy: -23.661 eV per atom
- Density: 8.3 g cm⁻³



Record 4
Material: Tb6Ta4Al43
Method: DFT, meta-GGA r2SCAN
State: relaxed

a b c (Å): 11.032 11.032 17.784
angles (deg): 90.00 90.00 120.00
Fractional positions:
Tb 0.531 0.000 0.596
Tb 0.469 0.000 0.404
Tb 0.000 0.531 0.596
Tb 0.469 0.000 0.096
Tb 0.000 0.531 0.904
Tb 0.000 0.469 0.404
Tb 0.531 0.000 0.904
Tb 0.000 0.469 0.096
Tb 0.469 0.469 0.596
Tb 0.531 0.531 0.404
Tb 0.531 0.531 0.096
Tb 0.469 0.469 0.904
Ta 0.000 0.000 0.500
Ta 0.000 0.000 0.000
Ta 0.727 0.000 0.750
Ta 0.273 0.000 0.250
Ta 0.000 0.727 0.750
Ta 0.000 0.273 0.250
Ta 0.273 0.273 0.750
Ta 0.727 0.727 0.250
Al 0.153 0.597 0.750
Al 0.847 0.403 0.250
Al 0.403 0.556 0.750
Al 0.597 0.153 0.750
Al 0.597 0.444 0.250
Al 0.403 0.847 0.250
Al 0.444 0.847 0.750
Al 0.556 0.403 0.750
Al 0.556 0.153 0.250
Al 0.444 0.597 0.250
Al 0.847 0.444 0.750
Al 0.153 0.556 0.250
Al 0.159 0.000 0.115
Al 0.841 0.000 0.885
Al 0.000 0.159 0.115
Al 0.841 0.000 0.615
Al 0.000 0.159 0.385
Al 0.000 0.841 0.885
Al 0.159 0.000 0.385
Al 0.000 0.841 0.615
Al 0.841 0.841 0.115
Al 0.159 0.159 0.885
Al 0.159 0.159 0.615
Al 0.841 0.841 0.385
Al 0.247 0.495 0.500
Al 0.753 0.505 0.500
Al 0.505 0.753 0.500
Al 0.753 0.505 0.000
Al 0.495 0.247 0.000
Al 0.495 0.247 0.500
Al 0.247 0.495 0.000
Al 0.505 0.753 0.000
Al 0.247 0.753 0.500
Al 0.753 0.247 0.500
Al 0.753 0.247 0.000
Al 0.247 0.753 0.000
Al 0.148 0.000 0.750
Al 0.852 0.000 0.250
Al 0.000 0.148 0.750
Al 0.000 0.852 0.250
Al 0.852 0.852 0.750
Al 0.148 0.148 0.250
Al 0.333 0.667 0.625
Al 0.667 0.333 0.375
Al 0.667 0.333 0.125
Al 0.667 0.333 0.875
Al 0.333 0.667 0.875
Al 0.333 0.667 0.125
Al 0.333 0.667 0.375
Al 0.667 0.333 0.625
Al 0.255 0.000 0.530
Al 0.745 0.000 0.470
Al 0.000 0.255 0.530
Al 0.745 0.000 0.030
Al 0.000 0.255 0.970
Al 0.000 0.745 0.470
Al 0.255 0.000 0.970
Al 0.000 0.745 0.030
Al 0.745 0.745 0.530
Al 0.255 0.255 0.470
Al 0.255 0.255 0.030
Al 0.745 0.745 0.970
Al 0.158 0.395 0.663
Al 0.842 0.605 0.337
Al 0.605 0.764 0.663
Al 0.842 0.605 0.163
Al 0.395 0.158 0.837
Al 0.395 0.236 0.337
Al 0.158 0.395 0.837
Al 0.605 0.842 0.163
Al 0.236 0.842 0.663
Al 0.395 0.236 0.163
Al 0.764 0.605 0.837
Al 0.764 0.158 0.337
Al 0.605 0.764 0.837
Al 0.236 0.395 0.163
Al 0.605 0.842 0.337
Al 0.395 0.158 0.663
Al 0.764 0.158 0.163
Al 0.236 0.395 0.337
Al 0.236 0.842 0.837
Al 0.764 0.605 0.663
Al 0.842 0.236 0.837
Al 0.158 0.764 0.163
Al 0.158 0.764 0.337
Al 0.842 0.236 0.663

Output
- DFT total energy: -13.006 eV per atom
- Density: 5.0 g cm⁻³



Record 5
Material: LiHf2Os
Method: DFT, meta-GGA r2SCAN
State: relaxed

a b c (Å): 4.599 4.599 4.599
angles (deg): 60.00 60.00 60.00
Fractional positions:
Li 0.250 0.250 0.250
Hf 0.000 0.000 0.000
Hf 0.500 0.500 0.500
Os 0.750 0.750 0.750

Output
- DFT total energy: -36.879 eV per atom
- Density: 13.4 g cm⁻³



Record 6
Material: In2Au3
Method: DFT, meta-GGA r2SCAN
State: relaxed

a b c (Å): 4.620 4.620 5.746
angles (deg): 90.00 90.00 120.00
Fractional positions:
In 0.667 0.333 0.322
In 0.333 0.667 0.678
Au 0.667 0.333 0.807
Au 0.333 0.667 0.193
Au 0.000 0.000 0.000

Output
- DFT total energy: -39.607 eV per atom
- Density: 12.8 g cm⁻³



Record 7
Material: Li4MnCo5O12
Method: DFT, meta-GGA r2SCAN
State: relaxed

a b c (Å): 4.829 4.829 9.715
angles (deg): 84.90 84.90 119.90
Fractional positions:
Li 0.412 0.745 0.743
Li 0.255 0.588 0.257
Li 0.745 0.412 0.743
Li 0.588 0.255 0.257
Mn 0.000 0.000 0.000
Co 0.165 0.835 0.500
Co 0.667 0.333 0.000
Co 0.333 0.667 0.000
Co 0.835 0.165 0.500
Co 0.500 0.500 0.500
O 0.298 0.962 0.106
O 0.038 0.702 0.894
O 0.531 0.870 0.397
O 0.870 0.531 0.397
O 0.130 0.469 0.603
O 0.790 0.790 0.604
O 0.469 0.130 0.603
O 0.962 0.298 0.106
O 0.627 0.627 0.107
O 0.702 0.038 0.894
O 0.373 0.373 0.893
O 0.210 0.210 0.396

Output
- DFT total energy: -9.083 eV per atom
- Density: 4.9 g cm⁻³



Record 8
Material: KAsO3
Method: DFT, meta-GGA r2SCAN
State: relaxed

a b c (Å): 4.903 11.383 11.510
angles (deg): 90.00 90.00 90.00
Fractional positions:
K 0.250 0.500 0.810
K 0.750 0.000 0.690
K 0.750 0.500 0.190
K 0.250 0.000 0.310
K 0.750 0.500 0.610
K 0.250 0.000 0.890
K 0.250 0.500 0.390
K 0.750 0.000 0.110
As 0.720 0.730 0.911
As 0.220 0.770 0.589
As 0.280 0.230 0.589
As 0.780 0.270 0.911
As 0.280 0.270 0.089
As 0.780 0.230 0.411
As 0.720 0.770 0.411
As 0.220 0.730 0.089
O 0.749 0.874 0.900
O 0.249 0.626 0.600
O 0.251 0.374 0.600
O 0.751 0.126 0.900
O 0.251 0.126 0.100
O 0.751 0.374 0.400
O 0.749 0.626 0.400
O 0.249 0.874 0.100
O 0.791 0.639 0.805
O 0.291 0.861 0.695
O 0.209 0.139 0.695
O 0.709 0.361 0.805
O 0.209 0.361 0.195
O 0.709 0.139 0.305
O 0.791 0.861 0.305
O 0.291 0.639 0.195
O 0.390 0.686 0.958
O 0.890 0.814 0.542
O 0.610 0.186 0.542
O 0.110 0.314 0.958
O 0.610 0.314 0.042
O 0.110 0.186 0.458
O 0.390 0.814 0.458
O 0.890 0.686 0.042

Output
- DFT total energy: -9.399 eV per atom
- Density: 3.4 g cm⁻³



Record 9
Material: Li3Al
Method: DFT, meta-GGA r2SCAN
State: relaxed

a b c (Å): 5.167 5.167 5.167
angles (deg): 135.61 135.61 64.58
Fractional positions:
Li 0.750 0.250 0.500
Li 0.250 0.750 0.500
Li 0.500 0.500 0.000
Al 0.000 0.000 0.000

Output
- DFT total energy: -3.551 eV per atom
- Density: 1.2 g cm⁻³



Record 10
Material: Mo3Se4S2
Method: DFT, meta-GGA r2SCAN
State: relaxed

a b c (Å): 3.273 3.273 29.285
angles (deg): 90.00 90.00 120.00
Fractional positions:
Mo 0.000 0.000 0.116
Mo 0.000 0.000 0.578
Mo 0.333 0.667 0.347
Se 0.000 0.000 0.404
Se 0.333 0.667 0.521
Se 0.333 0.667 0.635
Se 0.000 0.000 0.290
S 0.333 0.667 0.064
S 0.333 0.667 0.168

Output
- DFT total energy: -17.641 eV per atom
- Density: 4.1 g cm⁻³



Record 11
Material: Er5Tl3
Method: DFT, meta-GGA r2SCAN
State: relaxed

a b c (Å): 6.557 8.873 8.873
angles (deg): 120.00 90.00 90.00
Fractional positions:
Er 0.500 0.333 0.667
Er 0.500 0.667 0.333
Er 0.000 0.667 0.333
Er 0.000 0.333 0.667
Er 0.750 0.236 0.000
Er 0.750 0.764 0.764
Er 0.750 0.000 0.236
Er 0.250 0.764 0.000
Er 0.250 0.236 0.236
Er 0.250 0.000 0.764
Tl 0.750 0.598 0.000
Tl 0.750 0.402 0.402
Tl 0.750 0.000 0.598
Tl 0.250 0.402 0.000
Tl 0.250 0.598 0.598
Tl 0.250 0.000 0.402

Output
- DFT total energy: -41.567 eV per atom
- Density: 10.8 g cm⁻³



Record 12
Material: KYb2F7
Method: DFT, meta-GGA r2SCAN
State: relaxed

a b c (Å): 4.218 6.445 6.441
angles (deg): 63.89 90.00 90.00
Fractional positions:
K 0.491 0.000 0.500
Yb 0.989 0.694 0.194
Yb 0.989 0.306 0.806
F 0.988 0.046 0.167
F 0.987 0.667 0.546
F 0.489 0.290 0.790
F 0.988 0.954 0.833
F 0.987 0.333 0.454
F 0.997 0.500 0.000
F 0.489 0.710 0.210

Output
- DFT total energy: -14.328 eV per atom
- Density: 5.5 g cm⁻³



Record 13
Material: ZnPt3
Method: DFT, meta-GGA r2SCAN
State: relaxed

a b c (Å): 3.899 3.899 3.899
angles (deg): 90.00 90.00 90.00
Fractional positions:
Zn 0.000 0.000 0.000
Pt 0.500 0.500 0.000
Pt 0.500 0.000 0.500
Pt 0.000 0.500 0.500

Output
- DFT total energy: -41.216 eV per atom
- Density: 18.2 g cm⁻³



Record 14
Material: Li2ZrF6
Method: DFT, meta-GGA r2SCAN
State: relaxed

a b c (Å): 4.933 4.933 4.629
angles (deg): 90.00 90.00 120.00
Fractional positions:
Li 0.667 0.333 0.500
Li 0.333 0.667 0.500
Zr 0.000 0.000 0.000
F 0.000 0.332 0.258
F 0.668 0.668 0.258
F 0.000 0.668 0.742
F 0.668 0.000 0.742
F 0.332 0.332 0.742
F 0.332 0.000 0.258

Output
- DFT total energy: -8.831 eV per atom
- Density: 3.7 g cm⁻³
- Offset from the most stable computed form: 5 meV/atom



Record 15
Material: SrSi2Ag2
Method: DFT, meta-GGA r2SCAN
State: relaxed

a b c (Å): 4.384 4.384 6.102
angles (deg): 111.05 111.05 90.00
Fractional positions:
Sr 0.000 0.000 0.000
Si 0.611 0.611 0.221
Si 0.389 0.389 0.779
Ag 0.250 0.750 0.500
Ag 0.750 0.250 0.500

Output
- DFT total energy: -15.384 eV per atom
- Density: 5.9 g cm⁻³



Record 16
Material: Cu2P2O7
Method: DFT, meta-GGA r2SCAN
State: relaxed

a b c (Å): 5.345 5.345 9.206
angles (deg): 76.84 76.84 98.36
Fractional positions:
Cu 0.289 0.661 0.991
Cu 0.339 0.711 0.509
Cu 0.711 0.339 0.009
Cu 0.661 0.289 0.491
P 0.205 0.182 0.294
P 0.818 0.795 0.206
P 0.795 0.818 0.706
P 0.182 0.205 0.794
O 0.016 0.312 0.380
O 0.688 0.984 0.120
O 0.984 0.688 0.620
O 0.312 0.016 0.880
O 0.382 0.067 0.386
O 0.933 0.618 0.114
O 0.618 0.933 0.614
O 0.067 0.382 0.886
O 0.941 0.059 0.750
O 0.059 0.941 0.250
O 0.372 0.373 0.638
O 0.627 0.628 0.862
O 0.628 0.627 0.362
O 0.373 0.372 0.138

Output
- DFT total energy: -9.251 eV per atom
- Density: 4.1 g cm⁻³
- Offset from the most stable computed form: 0 meV/atom